1.
Density functional theory data (GGA+U) for crystalline Li3FeNi3O8 at its relaxed geometry.

abc: 5.8807 5.8807 5.8807
angles: 59.30 59.30 59.30
With the nearest neighbours (Å) after each atom.
Sites, in units of the cell vectors:
O  0.7722  0.2367  0.7722  1 Fe 1.88, 2 Ni 2.04
O  0.2278  0.2278  0.7633  1 Fe 1.88, 2 Ni 2.04
O  0.7722  0.7722  0.2367  1 Fe 1.88, 2 Ni 2.04
O  0.2278  0.7633  0.2278  1 Fe 1.88, 2 Ni 2.04
O  0.2616  0.2616  0.2616  3 Ni 1.98, 3 Li 2.17
O  0.7384  0.7384  0.7384  3 Ni 1.98, 3 Li 2.17
O  0.7633  0.2278  0.2278  1 Fe 1.88, 2 Ni 2.04
O  0.2367  0.7722  0.7722  1 Fe 1.88, 2 Ni 2.04
Ni  0.5000  0.0000  0.5000  6 O 1.98-2.04
Ni  0.0000  0.5000  0.5000  6 O 1.98-2.04
Ni  0.5000  0.5000  0.0000  6 O 1.98-2.04
Li  0.0000  0.0000  0.5000  6 O 2.12-2.17
Li  0.0000  0.5000  0.0000  6 O 2.12-2.17
Li  0.5000  0.0000  0.0000  6 O 2.12-2.17
Fe  0.0000  0.0000  0.0000  6 O 1.88

Output
Corrected total energy (MP2020 scheme) (eV per atom): -6.19
Total magnetization (μB/atom): 0.47
E_tot (eV/atom): -5.17
Energy of formation from the pure elements (eV/atom): -1.452
Excess energy over the best structure of this formula in the dataset (meV/atom): 16



2.
Density functional theory data (GGA+U) for crystalline Li5Fe5Ni2O12 at its relaxed geometry.

abc: 5.1551 5.1551 9.8409
angles: 85.00 85.00 119.74
With the nearest neighbours (Å) after each atom.
Sites, in units of the cell vectors:
O  0.1450  0.6269  0.8732  2 Fe 1.96-2.08, 3 Li 2.02-2.17, 1 Ni 2.16
O  0.5516  0.7220  0.6159  3 Fe 2.02-2.23, 1 Ni 2.07, 1 Li 2.23
O  0.4599  0.2863  0.8767  2 Fe 1.99-2.07, 3 Li 2.07-2.10, 1 Ni 2.08
O  0.9489  0.7806  0.3813  3 Fe 2.04-2.15, 1 Ni 2.07, 2 Li 2.17-2.24
O  0.7137  0.5401  0.1233  2 Fe 1.99-2.07, 3 Li 2.07-2.10, 1 Ni 2.08
O  0.7654  0.9480  0.8754  2 Fe 1.99-2.04, 3 Li 2.08-2.17, 1 Ni 2.09
O  0.2194  0.0511  0.6187  3 Fe 2.04-2.15, 1 Ni 2.07, 2 Li 2.17-2.24
O  0.8515  0.3543  0.6215  3 Fe 2.04-2.14, 1 Ni 2.19, 2 Li 2.20-2.23
O  0.3731  0.8550  0.1268  2 Fe 1.96-2.08, 3 Li 2.02-2.17, 1 Ni 2.16
O  0.2780  0.4484  0.3841  3 Fe 2.02-2.23, 1 Ni 2.07, 1 Li 2.23
O  0.0520  0.2346  0.1246  2 Fe 1.99-2.04, 3 Li 2.08-2.17, 1 Ni 2.09
O  0.6457  0.1485  0.3785  3 Fe 2.04-2.14, 1 Ni 2.19, 2 Li 2.20-2.23
Li  0.1528  0.3180  0.7617  5 O 2.02-2.23
Li  0.6820  0.8472  0.2383  5 O 2.02-2.23
Li  0.0804  0.9196  0.0000  6 O 2.10-2.17
Li  0.8323  0.6598  0.7601  6 O 2.07-2.24
Li  0.3402  0.1677  0.2399  6 O 2.07-2.24
Fe  0.5794  0.4206  0.5000  6 O 2.04-2.06
Fe  0.4845  0.9950  0.7631  5 O 1.96-2.15
Fe  0.9166  0.0834  0.5000  6 O 2.02-2.09
Fe  0.0050  0.5155  0.2369  5 O 1.96-2.15
Fe  0.4238  0.5762  0.0000  6 O 2.04-2.08
Ni  0.7504  0.2496  0.0000  6 O 2.08-2.16
Ni  0.2485  0.7515  0.5000  6 O 2.07-2.19

Output
Corrected total energy (MP2020 scheme) (eV per atom): -6.91
Total magnetization (μB/atom): 1.21
E_tot (eV/atom): -5.89
Energy of formation from the pure elements (eV/atom): -1.796



3.
Density functional theory data (GGA+U) for crystalline Li6Fe5NiO12 at its relaxed geometry.

abc: 5.1044 5.1044 10.1524
angles: 85.78 85.78 119.95
With the nearest neighbours (Å) after each atom.
Sites, in units of the cell vectors:
Fe  0.3322  0.6678  0.0000  6 O 2.02-2.04
Fe  0.1662  0.8338  0.5000  6 O 2.04-2.05
Fe  0.8338  0.1662  0.5000  6 O 2.04-2.05
Fe  0.6678  0.3322  0.0000  6 O 2.02-2.04
Fe  0.5000  0.5000  0.5000  6 O 2.04-2.05
O  0.0353  0.6947  0.8862  2 Fe 2.02-2.04, 1 Ni 2.08, 1 Li 2.12
O  0.5322  0.8657  0.3870  3 Fe 2.04-2.05, 3 Li 2.13-2.17
O  0.6202  0.6202  0.1145  2 Fe 2.03, 3 Li 2.10-2.25, 1 Ni 2.11
O  0.9647  0.3053  0.1138  2 Fe 2.02-2.04, 1 Ni 2.08, 1 Li 2.12
O  0.3798  0.3798  0.8855  2 Fe 2.03, 3 Li 2.10-2.25, 1 Ni 2.11
O  0.8657  0.5322  0.3870  3 Fe 2.04-2.05, 3 Li 2.13-2.17
O  0.6947  0.0353  0.8862  2 Fe 2.02-2.04, 1 Ni 2.08, 1 Li 2.12
O  0.1343  0.4678  0.6130  3 Fe 2.04-2.05, 3 Li 2.13-2.17
O  0.3053  0.9647  0.1138  2 Fe 2.02-2.04, 1 Ni 2.08, 1 Li 2.12
O  0.1995  0.1995  0.3870  3 Fe 2.04-2.05, 3 Li 2.13-2.24
O  0.8005  0.8005  0.6130  3 Fe 2.04-2.05, 3 Li 2.13-2.24
O  0.4678  0.1343  0.6130  3 Fe 2.04-2.05, 3 Li 2.13-2.17
Li  0.4366  0.7694  0.7430  6 O 2.12-2.27
Li  0.1069  0.1069  0.7491  6 O 2.10-2.29
Li  0.7694  0.4366  0.7430  6 O 2.12-2.27
Li  0.8931  0.8931  0.2509  6 O 2.10-2.29
Li  0.5634  0.2306  0.2570  6 O 2.12-2.27
Li  0.2306  0.5634  0.2570  6 O 2.12-2.27
Ni  0.0000  0.0000  0.0000  6 O 2.08-2.11

Output
Corrected total energy (MP2020 scheme) (eV per atom): -6.79
Total magnetization (μB/atom): 1.08
E_tot (eV/atom): -5.87
Energy of formation from the pure elements (eV/atom): -1.832
Excess energy over the best structure of this formula in the dataset (meV/atom): 0



4.
Density functional theory data (GGA+U) for crystalline Li2FeNiO4 at its relaxed geometry.

abc: 2.9108 5.0391 5.0534
angles: 70.47 90.00 90.00
With the nearest neighbours (Å) after each atom.
Sites, in units of the cell vectors:
O  0.0000  0.2283  0.2752  2 Fe 1.96, 3 Li 2.05-2.16, 1 Ni 2.08
O  0.0000  0.7717  0.7248  2 Fe 1.96, 3 Li 2.05-2.16, 1 Ni 2.08
O  0.5000  0.2217  0.7340  1 Fe 1.88, 2 Ni 2.04, 2 Li 2.09
O  0.5000  0.7783  0.2660  1 Fe 1.88, 2 Ni 2.04, 2 Li 2.09
Li  0.5000  0.5000  0.0000  6 O 2.16-2.24
Li  0.0000  0.5000  0.5000  6 O 2.05-2.09
Ni  0.0000  0.0000  0.0000  6 O 2.04-2.08
Fe  0.5000  0.0000  0.5000  6 O 1.88-1.96

Output
Corrected total energy (MP2020 scheme) (eV per atom): -6.41
Total magnetization (μB/atom): 0.75
E_tot (eV/atom): -5.47
Energy of formation from the pure elements (eV/atom): -1.679
Excess energy over the best structure of this formula in the dataset (meV/atom): 38



5.
Density functional theory data (GGA+U) for crystalline Li3Fe2NiO6 at its relaxed geometry.

abc: 6.7309 6.7309 5.9017
angles: 76.97 76.97 25.09
With the nearest neighbours (Å) after each atom.
Sites, in units of the cell vectors:
Li  0.8357  0.8357  0.8343  6 O 2.13-2.19
Li  0.1643  0.1643  0.1657  6 O 2.13-2.19
Li  0.5000  0.5000  0.5000  6 O 2.16-2.17
Fe  0.1669  0.1669  0.6722  6 O 1.99-2.09
Fe  0.8331  0.8331  0.3278  6 O 1.99-2.09
O  0.9955  0.9955  0.2338  2 Ni 2.00, 1 Fe 2.08, 3 Li 2.16
O  0.6646  0.6646  0.9030  2 Fe 1.99, 1 Ni 2.11, 3 Li 2.13-2.19
O  0.0045  0.0045  0.7662  2 Ni 2.00, 1 Fe 2.08, 3 Li 2.16
O  0.3302  0.3302  0.5695  3 Fe 2.04-2.09, 3 Li 2.15-2.17
O  0.6698  0.6698  0.4305  3 Fe 2.04-2.09, 3 Li 2.15-2.17
O  0.3354  0.3354  0.0970  2 Fe 1.99, 1 Ni 2.11, 3 Li 2.13-2.19
Ni  0.5000  0.5000  0.0000  6 O 2.00-2.11

Output
Corrected total energy (MP2020 scheme) (eV per atom): -6.63
Total magnetization (μB/atom): 0.92
E_tot (eV/atom): -5.70
Energy of formation from the pure elements (eV/atom): -1.786



6.
Density functional theory data (GGA+U) for crystalline Li5Fe3Ni2O10 at its relaxed geometry.

abc: 5.1687 5.0948 7.8296
angles: 110.08 102.98 98.50
With the nearest neighbours (Å) after each atom.
Sites, in units of the cell vectors:
Fe  0.3132  0.1108  0.1174  4 O 1.90-2.09
Fe  0.0000  0.5000  0.0000  6 O 1.98-2.11
Fe  0.6868  0.8892  0.8826  4 O 1.90-2.09
O  0.7570  0.5082  0.7687  2 Fe 1.96-1.98, 2 Li 2.10-2.11, 1 Ni 2.19
O  0.8740  0.6796  0.4589  2 Ni 1.89-1.94, 1 Li 2.09
O  0.4561  0.9024  0.6611  1 Fe 1.90, 4 Li 1.99-2.12, 1 Ni 2.08
O  0.2430  0.4918  0.2313  2 Fe 1.96-1.98, 2 Li 2.10-2.11, 1 Ni 2.19
O  0.5439  0.0976  0.3389  1 Fe 1.90, 4 Li 1.99-2.12, 1 Ni 2.08
O  0.9513  0.9046  0.1429  3 Fe 2.06-2.15, 1 Ni 2.07, 2 Li 2.20-2.27
O  0.6744  0.2920  0.0662  1 Ni 1.97, 3 Fe 2.08-2.14, 1 Li 2.18
O  0.0487  0.0954  0.8571  3 Fe 2.06-2.15, 1 Ni 2.07, 2 Li 2.20-2.27
O  0.1260  0.3204  0.5411  2 Ni 1.89-1.94, 1 Li 2.09
O  0.3256  0.7080  0.9338  1 Ni 1.97, 3 Fe 2.08-2.14, 1 Li 2.18
Ni  0.9007  0.2992  0.3077  5 O 1.89-2.08
Ni  0.0993  0.7008  0.6923  5 O 1.89-2.08
Li  0.3856  0.2880  0.7750  5 O 1.99-2.20
Li  0.6144  0.7120  0.2250  5 O 1.99-2.20
Li  0.2210  0.8987  0.4131  6 O 2.04-2.27
Li  0.5000  0.5000  0.5000  6 O 2.08-2.21
Li  0.7790  0.1013  0.5869  6 O 2.04-2.27

Output
Corrected total energy (MP2020 scheme) (eV per atom): -6.52
E_tot (eV/atom): -5.58
Energy of formation from the pure elements (eV/atom): -1.721